(1)
VASP calculation (PBE) on a geometry-optimized AlH11SO10 structure.

Cell lengths 8.1569, 12.6279, 10.4791 Å; angles 90.00, 128.20, 90.00 degrees
Element x y z (fractional)
Al: 0.0398 0.0082 0.3836
Al: 0.0398 0.4918 0.8836
Al: 0.9602 0.5082 0.1164
Al: 0.9602 0.9918 0.6164
H: 0.0170 0.6664 0.9907
H: 0.0170 0.8336 0.4907
H: 0.0312 0.1450 0.1929
H: 0.0312 0.3550 0.6929
H: 0.0806 0.1210 0.8539
H: 0.0806 0.3790 0.3539
H: 0.1747 0.6022 0.7575
H: 0.1747 0.8978 0.2575
H: 0.1780 0.1926 0.3768
H: 0.1780 0.3074 0.8768
H: 0.3097 0.5653 0.3971
H: 0.3097 0.9347 0.8971
H: 0.3554 0.0245 0.8141
H: 0.3554 0.4755 0.3141
H: 0.3742 0.2030 0.0954
H: 0.3742 0.2970 0.5954
H: 0.3812 0.5939 0.0947
H: 0.3812 0.9061 0.5947
H: 0.3911 0.1783 0.9556
H: 0.3911 0.3217 0.4556
H: 0.4399 0.0307 0.6030
H: 0.4399 0.4693 0.1030
H: 0.5601 0.5307 0.8970
H: 0.5601 0.9693 0.3970
H: 0.6089 0.6783 0.5444
H: 0.6089 0.8217 0.0444
H: 0.6188 0.0939 0.4053
H: 0.6188 0.4061 0.9053
H: 0.6258 0.7030 0.4046
H: 0.6258 0.7970 0.9046
H: 0.6446 0.5245 0.6859
H: 0.6446 0.9755 0.1859
H: 0.6903 0.0653 0.1029
H: 0.6903 0.4347 0.6029
H: 0.8220 0.6926 0.1232
H: 0.8220 0.8074 0.6232
H: 0.8253 0.1022 0.7425
H: 0.8253 0.3978 0.2425
H: 0.9194 0.6210 0.6461
H: 0.9194 0.8790 0.1461
H: 0.9688 0.6450 0.3071
H: 0.9688 0.8550 0.8071
H: 0.9830 0.1664 0.5093
H: 0.9830 0.3336 0.0093
S: 0.3506 0.6846 0.6392
S: 0.3506 0.8154 0.1393
S: 0.6494 0.1846 0.8608
S: 0.6494 0.3154 0.3608
O: 0.0362 0.0931 0.5307
O: 0.0362 0.4069 0.0307
O: 0.0427 0.5816 0.7394
O: 0.0427 0.9184 0.2394
O: 0.1084 0.1267 0.3093
O: 0.1084 0.3733 0.8093
O: 0.1244 0.7004 0.5061
O: 0.1244 0.7996 0.0061
O: 0.2539 0.5305 0.2915
O: 0.2539 0.9695 0.7915
O: 0.2902 0.1976 0.9749
O: 0.2902 0.3024 0.4749
O: 0.3341 0.5252 0.0348
O: 0.3341 0.9748 0.5348
O: 0.3832 0.6292 0.7790
O: 0.3832 0.8708 0.2790
O: 0.4422 0.6164 0.5781
O: 0.4422 0.8836 0.0781
O: 0.4642 0.7125 0.1960
O: 0.4642 0.7875 0.6960
O: 0.5358 0.2125 0.3040
O: 0.5358 0.2875 0.8040
O: 0.5578 0.1164 0.9219
O: 0.5578 0.3836 0.4219
O: 0.6168 0.1292 0.7210
O: 0.6168 0.3708 0.2210
O: 0.6659 0.0252 0.4652
O: 0.6659 0.4748 0.9652
O: 0.7098 0.6976 0.5251
O: 0.7098 0.8024 0.0251
O: 0.7461 0.0305 0.2085
O: 0.7461 0.4695 0.7085
O: 0.8756 0.2004 0.9939
O: 0.8756 0.2996 0.4939
O: 0.8916 0.6267 0.1907
O: 0.8916 0.8733 0.6907
O: 0.9573 0.0816 0.7606
O: 0.9573 0.4184 0.2606
O: 0.9638 0.5931 0.9693
O: 0.9638 0.9069 0.4693

Calculated values
* V: 848.3 Å³ per cell
* energy: -5.451 eV/atom

---

(2)
VASP calculation (PBE) on a geometry-optimized YCu3O6 structure.

Cell lengths 8.9184, 8.9184, 11.7378 Å; angles 90.70, 90.70, 22.90 degrees
Element x y z (fractional)
Y: 0.0000 0.0000 0.0000
Y: 0.6834 0.6834 0.5025
Cu: 0.1213 0.1213 0.2518
Cu: 0.2336 0.2336 0.7583
Cu: 0.4518 0.4518 0.2578
Cu: 0.5598 0.5598 0.7501
Cu: 0.7889 0.7889 0.2411
Cu: 0.8919 0.8919 0.7430
O: 0.1105 0.1105 0.1083
O: 0.1332 0.1332 0.3973
O: 0.2172 0.2172 0.6108
O: 0.2347 0.2347 0.9022
O: 0.4514 0.4514 0.4018
O: 0.4684 0.4684 0.1114
O: 0.5476 0.5476 0.8956
O: 0.5734 0.5734 0.6075
O: 0.7766 0.7766 0.3840
O: 0.7856 0.7856 0.0979
O: 0.8929 0.8929 0.6000
O: 0.9017 0.9017 0.8878

Calculated values
* distance to the lowest polymorph of the same formula: 0.000 eV per atom
* V: 363.3 Å³ per cell
* energy: -5.435 eV/atom

---

(3)
VASP calculation (PBE) on a geometry-optimized Eu8C4I9N7 structure.

Cell lengths 10.6189, 10.6189, 7.7969 Å; angles 90.00, 90.00, 120.00 degrees
Element x y z (fractional)
Eu: 0.0000 0.0000 0.0000
Eu: 0.0689 0.5344 0.9286
Eu: 0.2714 0.1357 0.3988
Eu: 0.3333 0.6667 0.3231
Eu: 0.4656 0.5344 0.9286
Eu: 0.4656 0.9311 0.9286
Eu: 0.8643 0.1357 0.3988
Eu: 0.8643 0.7286 0.3988
C: 0.1658 0.3316 0.1724
C: 0.1658 0.8342 0.1724
C: 0.3333 0.6667 0.6505
C: 0.6684 0.8342 0.1724
I: 0.1308 0.2617 0.6983
I: 0.1308 0.8692 0.6983
I: 0.4063 0.2031 0.0034
I: 0.5178 0.0357 0.4608
I: 0.5178 0.4822 0.4608
I: 0.7383 0.8692 0.6983
I: 0.7969 0.2031 0.0034
I: 0.7969 0.5937 0.0034
I: 0.9643 0.4822 0.4608
N: 0.1032 0.2064 0.2312
N: 0.1032 0.8968 0.2312
N: 0.2284 0.4568 0.1130
N: 0.2284 0.7716 0.1130
N: 0.3333 0.6667 0.8029
N: 0.5432 0.7716 0.1130
N: 0.7936 0.8968 0.2312

Calculated values
* V: 761.4 Å³ per cell
* energy: -7.989 eV/atom

---

(4)
VASP calculation (PBE) on a geometry-optimized Tb5Se2Cl3O10 structure.

Cell lengths 6.7308, 6.7308, 9.9077 Å; angles 90.90, 90.90, 48.32 degrees
Element x y z (fractional)
Tb: 0.0000 0.0000 0.0000
Tb: 0.2863 0.2863 0.8968
Tb: 0.4013 0.4013 0.2343
Tb: 0.5987 0.5987 0.7657
Tb: 0.7137 0.7137 0.1032
Se: 0.0924 0.0924 0.3161
Se: 0.9076 0.9076 0.6839
Cl: 0.1634 0.1634 0.6495
Cl: 0.5000 0.5000 0.5000
Cl: 0.8366 0.8366 0.3505
O: 0.1100 0.6016 0.0588
O: 0.1831 0.7056 0.7958
O: 0.2266 0.2266 0.2841
O: 0.2944 0.8169 0.2042
O: 0.3984 0.8900 0.9412
O: 0.6016 0.1100 0.0588
O: 0.7056 0.1831 0.7958
O: 0.7734 0.7734 0.7159
O: 0.8169 0.2944 0.2042
O: 0.8900 0.3984 0.9412

Calculated values
* V: 335.2 Å³ per cell
* energy: -6.854 eV/atom

---

(5)
VASP calculation (PBE) on a geometry-optimized Zr5GeSb3 structure.

Cell lengths 8.7171, 8.7171, 5.8757 Å; angles 90.00, 90.00, 120.00 degrees
Element x y z (fractional)
Zr: 0.0000 0.2647 0.2500
Zr: 0.0000 0.7353 0.7500
Zr: 0.2647 0.0000 0.2500
Zr: 0.2647 0.2647 0.7500
Zr: 0.3333 0.6667 0.0000
Zr: 0.3333 0.6667 0.5000
Zr: 0.6667 0.3333 0.0000
Zr: 0.6667 0.3333 0.5000
Zr: 0.7353 0.0000 0.7500
Zr: 0.7353 0.7353 0.2500
Ge: 0.0000 0.0000 0.0000
Ge: 0.0000 0.0000 0.5000
Sb: 0.0000 0.3942 0.7500
Sb: 0.0000 0.6058 0.2500
Sb: 0.3942 0.0000 0.7500
Sb: 0.3942 0.3942 0.2500
Sb: 0.6058 0.0000 0.2500
Sb: 0.6058 0.6058 0.7500

Calculated values
* V: 386.7 Å³ per cell
* energy: -7.430 eV/atom

---

(6)
VASP calculation (PBE) on a geometry-optimized K2TlAuBr6 structure.

Cell lengths 7.9283, 7.9283, 7.9283 Å; angles 60.00, 60.00, 60.00 degrees
Element x y z (fractional)
K: 0.2500 0.2500 0.2500
K: 0.7500 0.7500 0.7500
Tl: 0.0000 0.0000 0.0000
Au: 0.5000 0.5000 0.5000
Br: 0.2575 0.2575 0.7425
Br: 0.2575 0.7425 0.2575
Br: 0.2575 0.7425 0.7425
Br: 0.7425 0.2575 0.2575
Br: 0.7425 0.2575 0.7425
Br: 0.7425 0.7425 0.2575

Calculated values
* V: 352.4 Å³ per cell
* energy: -2.665 eV/atom

---

(7)
VASP calculation (PBE) on a geometry-optimized Sc6N2O5 structure.

Cell lengths 5.4656, 5.4696, 5.4730 Å; angles 99.80, 99.84, 99.69 degrees
Element x y z (fractional)
Sc: 0.0000 0.0000 0.0000
Sc: 0.1243 0.5679 0.2800
Sc: 0.2796 0.1520 0.5837
Sc: 0.4089 0.6966 0.8726
Sc: 0.5639 0.2784 0.1554
Sc: 0.6981 0.8617 0.4472
N: 0.2209 0.3482 0.9474
N: 0.3474 0.9254 0.2246
O: 0.0681 0.8030 0.6443
O: 0.4723 0.5063 0.5022
O: 0.6222 0.0481 0.7995
O: 0.7677 0.6520 0.1043
O: 0.9218 0.1981 0.3479

Calculated values
* distance to the lowest polymorph of the same formula: 0.023 eV per atom
* V: 155.5 Å³ per cell
* energy: -8.958 eV/atom

---

(8)
VASP calculation (PBE) on a geometry-optimized ErBiO3 structure.

Cell lengths 6.1363, 6.1363, 6.1363 Å; angles 58.52, 58.52, 58.52 degrees
Element x y z (fractional)
Er: 0.0000 0.0000 0.0000
Er: 0.5000 0.5000 0.5000
Bi: 0.2864 0.2864 0.2864
Bi: 0.7864 0.7864 0.7864
O: 0.1357 0.3531 0.6899
O: 0.1899 0.8531 0.6357
O: 0.3531 0.6899 0.1357
O: 0.6357 0.1899 0.8531
O: 0.6899 0.1357 0.3531
O: 0.8531 0.6357 0.1899

Calculated values
* V: 157.9 Å³ per cell
* energy: -7.067 eV/atom

---

no.,theoretical density (g/cm³)
1,1.802
2,3.433
3,5.461
4,6.038
5,7.679
6,4.519
7,4.033
8,8.926